(1)
Entry from Materials Project: a geometry-optimized CaHfNbInO6 structure (PBE-GGA).

MP2020-corrected energy: -8.4553 eV/atom
uncorrected energy: -8.043 eV/atom
DFT formation energy: -3005 meV/atom
spin magnetization: 0.00 μB per cell
symmetry: F-43m

Cell: 5.7997 5.7997 5.7997 Å, 60.00 60.00 60.00°
With the nearest neighbours (Å) after each atom.
Atoms (fractional coordinates):
Ca (0.0000, 0.0000, 0.0000)  12 O 2.90
Hf (0.2500, 0.2500, 0.2500)  6 O 2.08
Nb (0.7500, 0.7500, 0.7500)  6 O 2.02
In (0.5000, 0.5000, 0.5000)  12 O 2.90
O (0.5041, 0.5041, 0.9959)  1 Nb 2.02, 1 Hf 2.08
O (0.5041, 0.9959, 0.5041)  1 Nb 2.02, 1 Hf 2.08
O (0.5041, 0.9959, 0.9959)  1 Nb 2.02, 1 Hf 2.08
O (0.9959, 0.5041, 0.5041)  1 Nb 2.02, 1 Hf 2.08
O (0.9959, 0.5041, 0.9959)  1 Nb 2.02, 1 Hf 2.08
O (0.9959, 0.9959, 0.5041)  1 Nb 2.02, 1 Hf 2.08

***

(2)
Entry from Materials Project: a geometry-optimized Rb2TeBr6 structure (PBE-GGA).

MP2020-corrected energy: -3.0719 eV/atom
uncorrected energy: -2.716 eV/atom
DFT formation energy: -1413 meV/atom
symmetry: Fm-3m

Cell: 7.8459 7.8459 7.8459 Å, 60.00 60.00 60.00°
With the nearest neighbours (Å) after each atom.
Atoms (fractional coordinates):
Rb (0.2500, 0.2500, 0.2500)  12 Br 3.92
Rb (0.7500, 0.7500, 0.7500)  12 Br 3.92
Te (0.0000, 0.0000, 0.0000)  6 Br 2.73
Br (0.2465, 0.2465, 0.7535)  1 Te 2.73
Br (0.2465, 0.7535, 0.2465)  1 Te 2.73
Br (0.2465, 0.7535, 0.7535)  1 Te 2.73
Br (0.7535, 0.2465, 0.2465)  1 Te 2.73
Br (0.7535, 0.2465, 0.7535)  1 Te 2.73
Br (0.7535, 0.7535, 0.2465)  1 Te 2.73

***

(3)
Entry from Materials Project: a geometry-optimized LiCuP3O9 structure (PBE-GGA).

energy relative to the lowest polymorph listed for this composition: 9 meV per atom
MP2020-corrected energy: -7.1644 eV/atom
uncorrected energy: -6.723 eV/atom
DFT formation energy: -2394 meV/atom
spin magnetization: 4.00 μB per cell
symmetry: P2_12_12_1

Cell: 8.2624 8.5021 9.1339 Å, 90.00 90.00 90.00°
With the nearest neighbours (Å) after each atom.
Atoms (fractional coordinates):
Li (0.1568, 0.1306, 0.3822)  3 O 2.00-2.09
Li (0.3432, 0.8694, 0.8822)  3 O 2.00-2.09
Li (0.6568, 0.3694, 0.6178)  3 O 2.00-2.09
Li (0.8432, 0.6306, 0.1178)  3 O 2.00-2.09
Cu (0.1326, 0.8531, 0.1600)  4 O 1.94-2.06
Cu (0.3674, 0.1469, 0.6600)  4 O 1.94-2.06
Cu (0.6326, 0.6469, 0.8400)  4 O 1.94-2.06
Cu (0.8674, 0.3531, 0.3400)  4 O 1.94-2.06
P (0.0317, 0.3207, 0.6882)  4 O 1.49-1.62
P (0.1778, 0.4787, 0.1893)  4 O 1.51-1.61
P (0.2028, 0.8121, 0.5648)  4 O 1.49-1.63
P (0.2972, 0.1879, 0.0648)  4 O 1.49-1.63
P (0.3222, 0.5213, 0.6893)  4 O 1.51-1.61
P (0.4683, 0.6793, 0.1882)  4 O 1.49-1.62
P (0.5317, 0.1793, 0.3118)  4 O 1.49-1.62
P (0.6778, 0.0213, 0.8107)  4 O 1.51-1.61
P (0.7028, 0.6879, 0.4352)  4 O 1.49-1.63
P (0.7972, 0.3121, 0.9352)  4 O 1.49-1.63
P (0.8222, 0.9787, 0.3107)  4 O 1.51-1.61
P (0.9683, 0.8207, 0.8118)  4 O 1.49-1.62
O (0.0371, 0.7705, 0.6543)  2 P 1.60-1.63
O (0.0839, 0.6174, 0.1317)  1 P 1.51
O (0.1032, 0.8697, 0.9095)  1 P 1.49
O (0.1051, 0.3853, 0.3143)  1 P 1.51
O (0.1403, 0.1928, 0.6263)  1 P 1.52
O (0.1454, 0.4660, 0.7402)  2 P 1.60-1.62
O (0.1591, 0.8643, 0.4141)  1 P 1.49
O (0.1867, 0.0881, 0.1585)  1 P 1.51
O (0.2190, 0.3631, 0.0546)  2 P 1.61-1.63
O (0.2810, 0.6369, 0.5546)  2 P 1.61-1.63
O (0.3133, 0.9119, 0.6585)  1 P 1.51
O (0.3409, 0.1357, 0.9141)  1 P 1.49
O (0.3546, 0.5340, 0.2402)  2 P 1.60-1.62
O (0.3597, 0.8072, 0.1263)  1 P 1.52
O (0.3949, 0.6147, 0.8143)  1 P 1.51
O (0.3968, 0.1303, 0.4095)  1 P 1.49
O (0.4161, 0.3826, 0.6317)  1 P 1.51
O (0.4629, 0.2295, 0.1543)  2 P 1.60-1.63
O (0.5371, 0.7295, 0.3457)  2 P 1.60-1.63
O (0.5839, 0.8826, 0.8683)  1 P 1.51
O (0.6032, 0.6303, 0.0905)  1 P 1.49
O (0.6051, 0.1147, 0.6857)  1 P 1.51
O (0.6403, 0.3072, 0.3737)  1 P 1.52
O (0.6454, 0.0340, 0.2598)  2 P 1.60-1.62
O (0.6591, 0.6357, 0.5859)  1 P 1.49
O (0.6867, 0.4119, 0.8415)  1 P 1.51
O (0.7190, 0.1369, 0.9454)  2 P 1.61-1.63
O (0.7810, 0.8631, 0.4454)  2 P 1.61-1.63
O (0.8133, 0.5881, 0.3415)  1 P 1.51
O (0.8409, 0.3643, 0.0859)  1 P 1.49
O (0.8546, 0.9660, 0.7598)  2 P 1.60-1.62
O (0.8597, 0.6928, 0.8737)  1 P 1.52
O (0.8949, 0.8853, 0.1857)  1 P 1.51
O (0.8968, 0.3697, 0.5905)  1 P 1.49
O (0.9161, 0.1174, 0.3683)  1 P 1.51
O (0.9629, 0.2705, 0.8457)  2 P 1.60-1.63

***

(4)
Entry from Materials Project: a geometry-optimized LiZnP2HO7 structure (PBE-GGA).

MP2020-corrected energy: -6.7534 eV/atom
uncorrected energy: -6.353 eV/atom
DFT formation energy: -2418 meV/atom
spin magnetization: 0.00 μB per cell
symmetry: Pca2_1

Cell: 13.5929 5.0993 16.2786 Å, 90.00 90.00 90.00°
With the nearest neighbours (Å) after each atom.
Atoms (fractional coordinates):
Li (0.0528, 0.0835, 0.0000)  4 O 1.95-2.16
Li (0.2408, 0.2956, 0.7383)  5 O 2.01-2.16
Li (0.2592, 0.2956, 0.2383)  5 O 2.01-2.16
Li (0.4472, 0.0835, 0.5000)  4 O 1.95-2.16
Li (0.5528, 0.9165, 0.0000)  4 O 1.95-2.16
Li (0.7408, 0.7044, 0.7383)  5 O 2.01-2.16
Li (0.7592, 0.7044, 0.2383)  5 O 2.01-2.16
Li (0.9472, 0.9165, 0.5000)  4 O 1.95-2.16
Zn (0.0535, 0.0813, 0.6638)  5 O 1.98-2.17
Zn (0.2406, 0.3122, 0.9206)  5 O 2.02-2.12
Zn (0.2594, 0.3122, 0.4206)  5 O 2.02-2.12
Zn (0.4465, 0.0813, 0.1638)  5 O 1.98-2.17
Zn (0.5535, 0.9187, 0.6638)  5 O 1.98-2.17
Zn (0.7406, 0.6878, 0.9206)  5 O 2.02-2.12
Zn (0.7594, 0.6878, 0.4206)  5 O 2.02-2.12
Zn (0.9465, 0.9187, 0.1638)  5 O 1.98-2.17
P (0.0642, 0.0240, 0.3290)  4 O 1.51-1.61
P (0.1400, 0.5886, 0.0853)  4 O 1.51-1.61
P (0.1417, 0.8200, 0.8320)  4 O 1.53-1.66
P (0.1496, 0.5844, 0.5726)  4 O 1.52-1.64
P (0.3504, 0.5844, 0.0726)  4 O 1.52-1.64
P (0.3583, 0.8200, 0.3320)  4 O 1.53-1.66
P (0.3600, 0.5886, 0.5853)  4 O 1.51-1.61
P (0.4358, 0.0240, 0.8290)  4 O 1.51-1.61
P (0.5642, 0.9760, 0.3290)  4 O 1.51-1.61
P (0.6400, 0.4114, 0.0853)  4 O 1.51-1.61
P (0.6417, 0.1800, 0.8320)  4 O 1.53-1.66
P (0.6496, 0.4156, 0.5726)  4 O 1.52-1.64
P (0.8504, 0.4156, 0.0726)  4 O 1.52-1.64
P (0.8583, 0.1800, 0.3320)  4 O 1.53-1.66
P (0.8600, 0.4114, 0.5853)  4 O 1.51-1.61
P (0.9358, 0.9760, 0.8290)  4 O 1.51-1.61
H (0.0931, 0.7086, 0.4277)  1 O 1.02
H (0.1007, 0.5692, 0.2132)  1 O 1.00
H (0.3993, 0.5692, 0.7132)  1 O 1.00
H (0.4069, 0.7086, 0.9277)  1 O 1.02
H (0.5931, 0.2914, 0.4277)  1 O 1.02
H (0.6007, 0.4308, 0.2132)  1 O 1.00
H (0.8993, 0.4308, 0.7132)  1 O 1.00
H (0.9069, 0.2914, 0.9277)  1 O 1.02
O (0.0220, 0.7616, 0.8358)  2 P 1.61-1.66
O (0.0479, 0.8529, 0.2532)  1 P 1.53
O (0.0476, 0.8577, 0.4100)  1 H 1.02
O (0.0611, 0.7965, 0.0790)  1 P 1.51
O (0.0697, 0.7901, 0.5845)  1 P 1.52
O (0.1329, 0.4469, 0.1730)  1 H 1.00
O (0.1427, 0.3784, 0.0197)  1 P 1.51
O (0.1485, 0.4907, 0.4821)  1 P 1.55, 1 H 1.61
O (0.1499, 0.3645, 0.6363)  1 P 1.53
O (0.1579, 0.9734, 0.7526)  1 P 1.53
O (0.1604, 0.1716, 0.3300)  1 P 1.51
O (0.1637, 0.9737, 0.9112)  1 P 1.54
O (0.1894, 0.5483, 0.8302)  1 P 1.53
O (0.2452, 0.7357, 0.0862)  2 P 1.61-1.64
O (0.2548, 0.7357, 0.5862)  2 P 1.61-1.64
O (0.3106, 0.5483, 0.3302)  1 P 1.53
O (0.3363, 0.9737, 0.4112)  1 P 1.54
O (0.3396, 0.1716, 0.8300)  1 P 1.51
O (0.3421, 0.9734, 0.2526)  1 P 1.53
O (0.3501, 0.3645, 0.1363)  1 P 1.53
O (0.3515, 0.4907, 0.9821)  1 P 1.55, 1 H 1.61
O (0.3573, 0.3784, 0.5197)  1 P 1.51
O (0.3671, 0.4469, 0.6730)  1 H 1.00
O (0.4303, 0.7901, 0.0845)  1 P 1.52
O (0.4389, 0.7965, 0.5790)  1 P 1.51
O (0.4521, 0.8529, 0.7532)  1 P 1.53
O (0.4524, 0.8577, 0.9100)  1 H 1.02
O (0.4780, 0.7616, 0.3358)  2 P 1.61-1.66
O (0.5220, 0.2384, 0.8358)  2 P 1.61-1.66
O (0.5476, 0.1423, 0.4100)  1 H 1.02
O (0.5479, 0.1471, 0.2532)  1 P 1.53
O (0.5611, 0.2035, 0.0790)  1 P 1.51
O (0.5697, 0.2099, 0.5845)  1 P 1.52
O (0.6329, 0.5531, 0.1730)  1 H 1.00
O (0.6427, 0.6216, 0.0197)  1 P 1.51
O (0.6485, 0.5093, 0.4821)  1 P 1.55, 1 H 1.61
O (0.6499, 0.6355, 0.6363)  1 P 1.53
O (0.6579, 0.0266, 0.7526)  1 P 1.53
O (0.6604, 0.8284, 0.3300)  1 P 1.51
O (0.6637, 0.0263, 0.9112)  1 P 1.54
O (0.6894, 0.4517, 0.8302)  1 P 1.53
O (0.7452, 0.2643, 0.0862)  2 P 1.61-1.64
O (0.7548, 0.2643, 0.5862)  2 P 1.61-1.64
O (0.8106, 0.4517, 0.3302)  1 P 1.53
O (0.8363, 0.0263, 0.4112)  1 P 1.54
O (0.8396, 0.8284, 0.8300)  1 P 1.51
O (0.8421, 0.0266, 0.2526)  1 P 1.53
O (0.8501, 0.6355, 0.1363)  1 P 1.53
O (0.8515, 0.5093, 0.9821)  1 P 1.55, 1 H 1.61
O (0.8573, 0.6216, 0.5197)  1 P 1.51
O (0.8671, 0.5531, 0.6730)  1 H 1.00
O (0.9303, 0.2099, 0.0845)  1 P 1.52
O (0.9389, 0.2035, 0.5790)  1 P 1.51
O (0.9524, 0.1423, 0.9100)  1 H 1.02
O (0.9521, 0.1471, 0.7532)  1 P 1.53
O (0.9780, 0.2384, 0.3358)  2 P 1.61-1.66

***

- Among the records above, which one has the lowest DFT formation energy?
  CaHfNbInO6